No. 1
Material: Li2FeO2F
Method: DFT, GGA+U
State: relaxed

```
Li2FeO2F
1.0
-2.103 -2.972 1.884
0.978 -5.211 -7.127
5.008 -2.124 2.241
Li Fe O F
8 4 8 4
Cartesian
4.503 -6.459 -2.932
2.004 -5.427 -4.092
1.879 -4.880 1.090
-0.619 -3.848 -0.071
4.308 -4.801 -0.533
1.474 -1.981 0.750
2.409 -8.325 -3.753
-0.425 -5.506 -2.469
1.839 -3.645 -1.466
2.044 -6.662 -1.536
4.058 -3.186 1.734
-0.175 -7.121 -4.736
3.090 -5.050 -2.285
0.923 -5.778 -5.854
2.961 -4.529 2.852
0.793 -5.257 -0.717
2.910 -3.377 0.151
0.414 -2.362 -1.033
3.469 -7.945 -1.969
0.974 -6.929 -3.153
3.517 -6.899 -4.726
0.668 -4.002 -3.337
3.215 -6.305 0.334
0.366 -3.408 1.724
```

Computed properties:
energy of formation = -2.317 eV per atom
crystal system = orthorhombic
total magnetic moment = 0.00 μB per cell
E_tot = -5.6511 eV per atom
relative energy among the computed polymorphs = 32 meV per atom



No. 2
Material: LiFe3O2F6
Method: DFT, GGA+U
State: relaxed

```
LiFe3O2F6
1.0
3.850 0.000 0.000
0.000 8.585 0.000
0.000 0.000 9.630
Li Fe O F
2 6 4 12
Cartesian
0.000 6.570 4.022
1.925 2.277 5.608
0.000 4.789 7.334
1.925 6.274 9.126
0.000 8.009 7.171
1.925 0.497 2.296
0.000 1.981 0.504
1.925 3.717 2.459
1.925 5.009 7.635
0.000 6.540 8.583
0.000 0.716 1.995
1.925 2.248 1.046
1.925 5.014 3.808
1.925 5.137 1.058
0.000 6.452 5.922
1.925 7.823 0.695
1.925 7.960 7.364
1.925 7.690 3.605
0.000 0.721 5.822
0.000 0.845 8.572
1.925 2.159 3.708
0.000 3.530 8.935
0.000 3.667 2.266
0.000 3.397 6.025
```

Computed properties:
energy of formation = -2.372 eV per atom
crystal system = orthorhombic
total magnetic moment = 30.00 μB per cell
E_tot = -5.5210 eV per atom
relative energy among the computed polymorphs = 96 meV per atom



No. 3
Material: LiFe2O2F3
Method: DFT, GGA+U
State: relaxed

```
LiFe2O2F3
1.0
3.176 0.000 0.000
0.000 8.165 0.000
0.000 0.000 8.331
Li Fe O F
2 4 4 6
Cartesian
0.000 3.234 1.435
0.000 4.931 5.600
1.588 6.189 8.260
0.000 7.340 2.748
0.000 0.825 6.913
1.588 1.975 4.095
1.588 7.068 1.744
0.000 7.229 7.637
0.000 0.935 3.472
1.588 1.097 5.909
0.000 6.166 4.194
0.000 1.998 0.029
1.588 3.103 2.489
0.000 3.162 4.817
0.000 5.002 0.652
1.588 5.061 6.654
```

Computed properties:
energy of formation = -2.324 eV per atom
crystal system = orthorhombic
total magnetic moment = 20.00 μB per cell
E_tot = -5.7257 eV per atom
relative energy among the computed polymorphs = 2 meV per atom



No. 4
Material: Li2FeOF3
Method: DFT, GGA+U
State: relaxed

```
Li2FeOF3
1.0
1.490 4.980 0.000
-1.490 4.980 0.000
0.000 2.236 10.211
Li Fe O F
4 2 2 6
Cartesian
0.000 3.605 3.958
0.000 4.980 0.000
0.000 6.098 5.106
0.000 8.591 6.253
0.000 4.665 8.901
0.000 7.531 1.310
0.000 1.500 0.569
0.000 10.697 9.642
0.000 2.521 5.611
0.000 3.967 1.745
0.000 5.019 7.024
0.000 7.177 3.187
0.000 8.229 8.467
0.000 9.675 4.600
```

Computed properties:
energy of formation = -2.646 eV per atom
crystal system = monoclinic
total magnetic moment = 9.99 μB per cell
E_tot = -5.3108 eV per atom
relative energy among the computed polymorphs = 32 meV per atom



No. 5
Material: LiFe3O2F6
Method: DFT, GGA+U
State: relaxed

```
LiFe3O2F6
1.0
-2.686 2.354 -3.059
-4.444 -3.035 1.567
-2.999 6.431 7.582
Li Fe O F
2 6 4 12
Cartesian
0.000 0.000 0.000
-2.842 4.392 2.262
-3.565 -0.341 -0.746
-4.604 3.100 -0.738
-5.323 0.571 1.560
-3.722 1.698 4.574
-4.806 5.179 4.530
-5.525 2.649 6.829
-4.517 1.255 -0.088
-3.814 1.018 2.727
-6.315 4.732 3.363
-5.612 4.495 6.178
-1.974 0.146 0.409
-4.471 -1.148 0.860
-7.042 0.066 0.502
-1.819 2.671 1.534
-4.437 3.927 1.122
-6.380 2.147 2.204
-3.749 3.603 3.886
-5.692 1.823 4.968
-8.310 3.079 4.557
-3.087 5.683 5.589
-5.658 6.898 5.230
-8.155 5.604 5.682
```

Computed properties:
energy of formation = -2.468 eV per atom
crystal system = monoclinic
total magnetic moment = 10.00 μB per cell
E_tot = -5.6165 eV per atom
relative energy among the computed polymorphs = 0 meV per atom



No. 6
Material: Li2FeO2F
Method: DFT, GGA+U
State: relaxed

```
Li2FeO2F
1.0
4.660 0.632 2.147
-3.455 -3.117 2.299
4.481 -6.473 -5.990
Li Fe O F
8 4 8 4
Cartesian
7.797 -6.319 -3.987
1.950 -4.120 -1.968
0.623 -1.271 2.160
3.155 -6.866 -1.592
2.615 -2.004 0.064
4.556 -3.000 -1.790
3.801 -4.719 0.333
2.347 -9.031 -3.556
5.680 -5.609 -1.908
3.828 -4.999 -3.967
-0.129 -3.349 0.229
1.785 -4.083 2.569
6.587 -3.832 -1.822
0.568 -1.457 0.055
5.731 -5.728 -3.845
4.569 -2.783 0.333
3.866 -4.905 -1.926
0.014 -3.232 2.218
5.154 -7.483 -1.504
-0.945 -5.150 0.271
3.115 -6.984 -3.840
1.837 -4.114 0.251
1.114 -6.159 -1.747
2.579 -1.966 2.299
```

Computed properties:
energy of formation = -2.249 eV per atom
crystal system = triclinic
total magnetic moment = 20.00 μB per cell
E_tot = -5.5837 eV per atom
relative energy among the computed polymorphs = 99 meV per atom



Question: Among the records above, which one has the highest total magnetic moment?
Answer: number 2



Question: Among the records above, which one has the highest E_tot?
Answer: Li2FeOF3